Material: Mn6OF11
Method: DFT, r²SCAN
State: optimized geometry

Geometry as POSCAR:
```
Mn6OF11
1.0
4.893 0.000 0.000
0.082 5.738 0.000
0.159 0.016 15.881
Mn O F
12 2 22
Cartesian
0.040 1.006 1.320 Mn
0.158 0.894 11.868 Mn
0.244 4.787 9.356 Mn
2.521 3.991 11.801 Mn
2.487 1.869 9.254 Mn
2.474 3.848 1.386 Mn
2.660 1.907 14.495 Mn
2.647 3.885 6.627 Mn
2.612 1.763 4.080 Mn
4.890 0.967 6.525 Mn
4.976 4.860 4.013 Mn
5.094 4.749 14.562 Mn
1.207 5.282 11.072 O
3.927 0.473 4.809 O
1.195 0.690 13.633 F
1.206 0.612 8.230 F
1.229 5.156 0.387 F
1.290 5.055 5.633 F
1.226 0.570 3.023 F
1.365 2.330 11.023 F
1.321 3.516 3.180 F
1.428 3.473 8.325 F
1.348 2.305 0.387 F
1.580 3.521 13.637 F
1.511 2.222 5.761 F
3.623 3.533 10.121 F
3.554 2.233 2.245 F
3.786 3.450 15.494 F
3.706 2.281 7.556 F
3.813 2.238 12.701 F
3.769 3.424 4.858 F
3.908 5.185 12.858 F
3.844 0.699 10.248 F
3.905 0.598 15.494 F
3.928 5.143 7.651 F
3.939 5.065 2.248 F
```

Properties
As for the relative energy among the computed polymorphs: 15 meV/atom. The value obtained for the calculated total energy is -9.963 eV per atom. Its symmetry is P-1, No. 2. As for the energy of formation from the pure elements: -2.826 eV per atom. The calculation puts the total magnetic moment at 58.00 μB/cell.


Material: Rb3MnF7
Method: DFT, r²SCAN
State: optimized geometry

Geometry as POSCAR:
```
Rb3MnF7
1.0
7.963 0.000 0.000
0.000 7.963 0.000
0.000 0.000 5.868
Rb Mn F
6 2 14
Cartesian
0.000 0.000 0.000 Rb
1.507 2.474 2.934 Rb
2.474 6.456 2.934 Rb
3.982 3.982 0.000 Rb
5.489 1.507 2.934 Rb
6.456 5.489 2.934 Rb
0.000 3.982 0.000 Mn
3.982 0.000 0.000 Mn
0.000 0.000 2.934 F
0.895 4.876 1.299 F
0.895 4.876 4.569 F
1.281 2.700 0.000 F
2.700 6.682 0.000 F
3.087 0.895 1.299 F
3.087 0.895 4.569 F
3.982 3.982 2.934 F
4.876 7.068 1.299 F
4.876 7.068 4.569 F
5.263 1.281 0.000 F
6.682 5.263 0.000 F
7.068 3.087 1.299 F
7.068 3.087 4.569 F
```

Properties
The value obtained for the calculated total energy is -10.084 eV per atom. Its symmetry is P4/mbm, No. 127. As for the energy of formation from the pure elements: -2.960 eV per atom. The calculation puts the total magnetic moment at 6.00 μB/cell.


Material: RbMnF4
Method: DFT, r²SCAN
State: optimized geometry

Geometry as POSCAR:
```
RbMnF4
1.0
6.016 0.000 0.000
0.000 7.756 0.000
-0.111 0.000 7.801
Rb Mn F
4 4 16
Cartesian
0.080 1.596 1.977 Rb
0.024 2.282 5.877 Rb
5.880 5.474 1.924 Rb
5.824 6.160 5.825 Rb
3.008 0.000 0.000 Mn
2.952 0.000 3.901 Mn
3.008 3.878 0.000 Mn
2.952 3.878 3.901 Mn
1.219 4.291 4.300 F
1.275 7.344 0.399 F
1.178 4.383 7.441 F
1.234 7.252 3.540 F
2.374 1.805 3.889 F
2.318 2.073 7.790 F
2.510 3.988 2.067 F
2.454 7.646 5.968 F
3.450 0.110 1.833 F
3.394 3.768 5.734 F
3.586 5.684 0.012 F
3.530 5.951 3.912 F
4.670 0.504 4.261 F
4.726 3.374 0.360 F
4.630 0.413 7.402 F
4.685 3.466 3.502 F
```

Properties
The value obtained for the calculated total energy is -9.850 eV per atom. Its symmetry is P2_1/c, No. 14. As for the energy of formation from the pure elements: -2.997 eV per atom. The calculation puts the total magnetic moment at 16.00 μB/cell.


Material: Rb2MnF6
Method: DFT, r²SCAN
State: optimized geometry

Geometry as POSCAR:
```
Rb2MnF6
1.0
5.886 0.000 0.000
-2.943 5.097 0.000
0.000 0.000 9.567
Rb Mn F
4 2 12
Cartesian
0.000 0.000 0.000 Rb
0.000 0.000 4.783 Rb
0.000 3.398 2.629 Rb
2.943 1.699 7.412 Rb
0.000 3.398 6.282 Mn
2.943 1.699 1.499 Mn
-1.276 2.662 5.219 F
0.000 1.885 7.289 F
-1.311 4.155 7.289 F
1.632 0.942 2.506 F
1.276 2.662 5.219 F
0.000 4.872 5.219 F
2.943 0.226 0.436 F
1.667 2.436 0.436 F
1.311 4.155 7.289 F
4.254 0.942 2.506 F
2.943 3.213 2.506 F
4.219 2.436 0.436 F
```

Properties
The value obtained for the calculated total energy is -9.793 eV per atom. Its symmetry is P6_3mc, No. 186. As for the energy of formation from the pure elements: -2.982 eV per atom. The calculation puts the total magnetic moment at 6.00 μB/cell.


Material: Rb2MnF4
Method: DFT, r²SCAN
State: optimized geometry

Geometry as POSCAR:
```
Rb2MnF4
1.0
-2.113 2.113 6.900
2.113 -2.113 6.900
2.113 2.113 -6.900
Rb Mn F
2 1 4
Cartesian
0.000 0.000 2.019 Rb
0.000 0.000 11.780 Rb
0.000 0.000 6.900 Mn
2.113 0.000 0.000 F
0.000 0.000 4.792 F
0.000 2.113 0.000 F
0.000 0.000 9.007 F
```

Properties
The value obtained for the calculated total energy is -10.844 eV per atom. Its symmetry is I4/mmm, No. 139. As for the energy of formation from the pure elements: -2.980 eV per atom. The calculation puts the total magnetic moment at 5.00 μB/cell.


Material: Rb2MnF6
Method: DFT, r²SCAN
State: optimized geometry

Geometry as POSCAR:
```
Rb2MnF6
1.0
0.000 4.208 4.208
4.208 0.000 4.208
4.208 4.208 0.000
Rb Mn F
2 1 6
Cartesian
2.104 2.104 2.104 Rb
6.313 6.313 6.313 Rb
0.000 0.000 0.000 Mn
4.208 4.208 1.816 F
4.208 1.816 4.208 F
6.601 4.208 4.208 F
1.816 4.208 4.208 F
4.208 6.601 4.208 F
4.208 4.208 6.601 F
```

Properties
The value obtained for the calculated total energy is -9.792 eV per atom. Its symmetry is Fm-3m, No. 225. As for the energy of formation from the pure elements: -2.980 eV per atom. The calculation puts the total magnetic moment at 3.00 μB/cell.


Material: RbMnF3
Method: DFT, r²SCAN
State: optimized geometry

Geometry as POSCAR:
```
RbMnF3
1.0
4.232 0.000 0.000
0.000 4.232 0.000
0.000 0.000 4.232
Rb Mn F
1 1 3
Cartesian
0.000 0.000 0.000 Rb
2.116 2.116 2.116 Mn
0.000 2.116 2.116 F
2.116 0.000 2.116 F
2.116 2.116 0.000 F
```

Properties
The value obtained for the calculated total energy is -10.612 eV per atom. Its symmetry is Pm-3m, No. 221. As for the energy of formation from the pure elements: -3.014 eV per atom. The calculation puts the total magnetic moment at 5.00 μB/cell.


Material: Rb2MnF5
Method: DFT, r²SCAN
State: optimized geometry

Geometry as POSCAR:
```
Rb2MnF5
1.0
5.985 0.000 0.000
0.000 5.985 0.000
0.000 0.000 4.164
Rb Mn F
2 1 5
Cartesian
0.000 2.993 0.000 Rb
2.993 0.000 0.000 Rb
0.000 0.000 2.082 Mn
0.000 0.000 0.000 F
1.320 1.320 2.082 F
1.320 4.666 2.082 F
4.666 1.320 2.082 F
4.666 4.666 2.082 F
```

Properties
The value obtained for the calculated total energy is -10.276 eV per atom. Its symmetry is P4/mmm, No. 123. As for the energy of formation from the pure elements: -3.005 eV per atom. The calculation puts the total magnetic moment at 4.00 μB/cell.


Material: MnSb2F12
Method: DFT, r²SCAN
State: optimized geometry

Geometry as POSCAR:
```
MnSb2F12
1.0
5.052 0.000 0.000
2.478 4.916 0.000
0.069 2.603 8.224
Mn Sb F
1 2 12
Cartesian
0.000 0.000 0.000 Mn
2.662 4.420 6.003 Sb
4.937 3.098 2.221 Sb
1.918 5.826 7.125 F
0.808 2.462 3.699 F
1.113 3.398 6.568 F
4.181 5.491 5.837 F
4.195 4.597 3.046 F
4.172 3.788 0.555 F
3.427 3.730 7.669 F
3.404 2.922 5.177 F
3.417 2.028 2.387 F
6.486 4.120 1.656 F
6.791 5.057 4.525 F
5.681 1.693 1.098 F
```

Properties
The value obtained for the calculated total energy is -9.474 eV per atom. Its symmetry is P-1, No. 2. As for the energy of formation from the pure elements: -2.567 eV per atom. The calculation puts the total magnetic moment at 5.00 μB/cell.


Material: MnTlF4
Method: DFT, r²SCAN
State: optimized geometry

Geometry as POSCAR:
```
MnTlF4
1.0
6.732 -2.702 0.000
6.732 2.702 0.000
-2.080 0.000 4.925
Mn Tl F
2 2 8
Cartesian
3.366 1.351 0.000 Mn
2.326 -1.351 2.462 Mn
5.172 1.447 3.694 Tl
6.212 -1.447 1.231 Tl
1.441 0.380 3.331 F
5.056 0.826 0.512 F
2.481 -0.380 0.869 F
7.369 0.826 1.951 F
4.016 -0.826 2.974 F
8.904 0.380 4.056 F
6.329 -0.826 4.413 F
9.944 -0.380 1.594 F
```

Properties
The value obtained for the calculated total energy is -15.999 eV per atom. Its symmetry is C2/c, No. 15. As for the energy of formation from the pure elements: -2.604 eV per atom. The calculation puts the total magnetic moment at 8.00 μB/cell.


Material: MoF4
Method: DFT, r²SCAN
State: optimized geometry

Geometry as POSCAR:
```
MoF4
1.0
4.926 0.000 0.000
-0.003 5.221 0.000
-1.229 -2.544 4.922
Mo F
2 8
Cartesian
0.000 0.000 0.000 Mo
2.184 2.612 0.023 Mo
-0.149 1.377 3.803 F
-0.110 -1.232 3.800 F
0.932 1.376 1.202 F
1.224 3.987 1.203 F
2.125 0.070 3.516 F
2.557 2.674 3.459 F
3.419 1.186 0.787 F
3.678 3.821 0.799 F
```

Properties
The value obtained for the calculated total energy is -10.282 eV per atom. Its symmetry is P1, No. 1. As for the energy of formation from the pure elements: -2.567 eV per atom. The calculation puts the total magnetic moment at 4.00 μB/cell.


Material: MoF6
Method: DFT, r²SCAN
State: optimized geometry

Geometry as POSCAR:
```
MoF6
1.0
9.368 0.000 0.000
0.000 8.536 0.000
0.000 0.000 4.896
Mo F
4 24
Cartesian
1.202 2.134 0.341 Mo
3.482 6.402 2.789 Mo
5.886 2.134 2.107 Mo
8.166 6.402 4.554 Mo
0.077 2.134 3.789 F
0.179 0.841 1.145 F
0.179 3.427 1.145 F
2.222 0.834 4.443 F
2.222 3.433 4.443 F
2.329 2.134 1.793 F
2.355 6.402 4.240 F
2.462 5.102 1.996 F
2.462 7.701 1.996 F
4.505 5.108 3.593 F
4.505 7.695 3.593 F
4.607 6.402 1.341 F
4.761 2.134 3.555 F
4.863 0.841 1.303 F
4.863 3.427 1.303 F
6.906 0.834 2.900 F
6.906 3.433 2.900 F
7.013 2.134 0.655 F
7.039 6.402 3.103 F
7.146 5.102 0.452 F
7.146 7.701 0.452 F
9.189 5.108 3.750 F
9.189 7.695 3.750 F
9.291 6.402 1.107 F
```

Properties
As for the relative energy among the computed polymorphs: 0 meV/atom. The value obtained for the calculated total energy is -9.040 eV per atom. Its symmetry is Pnma, No. 62. As for the energy of formation from the pure elements: -2.636 eV per atom. The calculation puts the total magnetic moment at 0.00 μB/cell.


Material: MoF6
Method: DFT, r²SCAN
State: optimized geometry

Geometry as POSCAR:
```
MoF6
1.0
-3.167 3.167 3.167
3.167 -3.167 3.167
3.167 3.167 -3.167
Mo F
1 6
Cartesian
0.000 0.000 0.000 Mo
1.833 0.000 0.000 F
4.502 0.000 0.000 F
0.000 1.833 0.000 F
0.000 0.000 1.833 F
0.000 4.502 0.000 F
0.000 0.000 4.502 F
```

Properties
As for the relative energy among the computed polymorphs: 30 meV/atom. The value obtained for the calculated total energy is -9.010 eV per atom. Its symmetry is Im-3m, No. 229. As for the energy of formation from the pure elements: -2.606 eV per atom. The calculation puts the total magnetic moment at 0.00 μB/cell.


Material: NaMoF6
Method: DFT, r²SCAN
State: optimized geometry

Geometry as POSCAR:
```
NaMoF6
1.0
-2.923 2.923 4.137
2.923 -2.923 4.137
2.923 2.923 -4.137
Na Mo F
1 1 6
Cartesian
0.000 0.000 0.000 Na
0.000 0.000 4.137 Mo
1.575 1.575 0.000 F
1.348 -1.348 4.137 F
0.000 0.000 2.281 F
0.000 0.000 5.992 F
-1.348 1.348 4.137 F
1.348 1.348 4.137 F
```

Properties
The value obtained for the calculated total energy is -8.856 eV per atom. Its symmetry is I4/mmm, No. 139. As for the energy of formation from the pure elements: -2.807 eV per atom. The calculation puts the total magnetic moment at 1.00 μB/cell.


Material: SbMoOF9
Method: DFT, r²SCAN
State: optimized geometry

Geometry as POSCAR:
```
SbMoOF9
1.0
7.277 0.000 0.000
0.000 10.304 0.000
-6.814 0.000 9.382
Sb Mo O F
4 4 4 36
Cartesian
-1.391 0.169 2.942 Sb
-4.798 4.983 7.633 Sb
5.261 5.321 1.749 Sb
1.854 10.135 6.440 Sb
-2.202 1.881 7.891 Mo
1.205 3.271 3.200 Mo
-0.742 7.033 6.182 Mo
2.665 8.423 1.491 Mo
-2.001 7.674 5.356 O
1.406 7.781 0.665 O
-0.943 2.523 8.717 O
2.464 2.629 4.026 O
-2.493 5.342 3.559 F
-5.900 10.114 8.250 F
-0.817 6.718 2.062 F
-4.224 8.738 6.753 F
-4.064 1.168 6.773 F
-0.657 3.984 2.082 F
-1.825 0.176 4.760 F
1.583 4.976 0.069 F
-3.518 6.310 7.961 F
-0.111 9.146 3.270 F
0.021 1.528 3.312 F
-3.386 3.624 8.003 F
1.439 2.573 1.534 F
-1.968 2.579 6.225 F
-3.343 1.440 9.254 F
0.065 3.712 4.563 F
-1.316 5.347 6.491 F
2.091 10.109 1.800 F
-1.628 0.195 7.582 F
1.779 4.957 2.891 F
0.398 6.592 4.819 F
3.806 8.864 0.128 F
2.431 7.725 3.157 F
-0.976 7.730 7.848 F
3.849 6.680 1.379 F
0.442 8.776 6.070 F
0.574 1.158 6.112 F
3.981 3.994 1.421 F
-1.120 5.327 9.313 F
2.287 10.128 4.622 F
1.120 6.320 7.300 F
4.527 9.135 2.609 F
4.687 1.566 2.629 F
1.280 3.586 7.320 F
6.363 0.190 1.132 F
2.956 4.962 5.823 F
```

Properties
The value obtained for the calculated total energy is -9.657 eV per atom. Its symmetry is P2_1/c, No. 14. As for the energy of formation from the pure elements: -2.500 eV per atom. The calculation puts the total magnetic moment at 0.00 μB/cell.


Material: Rb3MoF6
Method: DFT, r²SCAN
State: optimized geometry

Geometry as POSCAR:
```
Rb3MoF6
1.0
0.000 4.647 4.647
4.647 0.000 4.647
4.647 4.647 0.000
Rb Mo F
3 1 6
Cartesian
0.000 0.000 0.000 Rb
2.323 2.323 2.323 Rb
6.970 6.970 6.970 Rb
4.647 4.647 4.647 Mo
4.647 4.647 2.597 F
4.647 2.597 4.647 F
6.697 4.647 4.647 F
2.597 4.647 4.647 F
4.647 6.697 4.647 F
4.647 4.647 6.697 F
```

Properties
The value obtained for the calculated total energy is -11.503 eV per atom. Its symmetry is Fm-3m, No. 225. As for the energy of formation from the pure elements: -2.841 eV per atom. The calculation puts the total magnetic moment at 3.00 μB/cell.


Material: ZnMoF6
Method: DFT, r²SCAN
State: optimized geometry

Geometry as POSCAR:
```
ZnMoF6
1.0
2.526 1.458 4.699
-2.526 1.458 4.699
0.000 -2.917 4.699
Zn Mo F
1 1 6
Cartesian
0.000 0.000 0.000 Zn
0.000 0.000 7.049 Mo
-0.678 -1.423 5.878 F
-1.572 -0.124 8.219 F
-0.893 1.299 5.878 F
0.893 -1.299 8.219 F
1.572 0.124 5.878 F
0.678 1.423 8.219 F
```

Properties
The value obtained for the calculated total energy is -9.335 eV per atom. Its symmetry is R-3, No. 148. As for the energy of formation from the pure elements: -2.618 eV per atom. The calculation puts the total magnetic moment at 2.00 μB/cell.


Material: PNF2
Method: DFT, r²SCAN
State: optimized geometry

Geometry as POSCAR:
```
PNF2
1.0
4.259 -2.627 0.000
4.259 2.627 0.000
0.000 0.000 4.934
P N F
2 2 4
Cartesian
4.259 1.889 2.467 P
4.259 -1.889 0.000 P
4.259 2.139 0.940 N
4.259 -2.139 3.407 N
3.086 0.935 2.794 F
5.431 0.935 2.794 F
3.086 -0.935 0.327 F
5.431 -0.935 0.327 F
```

Properties
As for the relative energy among the computed polymorphs: 0 meV/atom. The value obtained for the calculated total energy is -8.022 eV per atom. Its symmetry is Cmc2_1, No. 36. As for the energy of formation from the pure elements: -1.926 eV per atom. The calculation puts the total magnetic moment at 0.00 μB/cell.